# 1
{
  "formula": "CeInIr",
  "functional": "GGA-PBE",
  "state": "relaxed",
  "sg": "P-62m, No. 189",
  "ef_mev_per_atom": -685,
  "energy_ev_per_atom": -6.53,
  "crystal_system": "hexagonal",
  "lattice_angstrom": [[-5.9644, -0.3096, -4.6467], [-0.7366, -2.0592, 7.2442], [-0.9586, 3.7843, 0.9782]],
  "species": ["Ce", "Ce", "Ce", "Ir", "Ir", "Ir", "In", "In", "In"],
  "fractional_positions": [[0.4118, 0.4118, 0.0000], [0.5882, 0.0000, 0.0000], [0.0000, 0.5882, 0.0000], [0.0000, 0.0000, 0.0000], [0.6667, 0.3333, 0.5000], [0.3333, 0.6667, 0.5000], [0.2521, 0.0000, 0.5000], [0.7479, 0.7479, 0.5000], [0.0000, 0.2521, 0.5000]]
}


# 2
{
  "formula": "Sm4Lu11S22",
  "functional": "GGA-PBE",
  "state": "relaxed",
  "sg": "C2/m, No. 12",
  "corrected_energy_ev_per_atom": -6.647,
  "ef_mev_per_atom": -2333,
  "energy_ev_per_atom": -6.35,
  "crystal_system": "monoclinic",
  "m_tot_mub_per_fu": 0.0,
  "lattice_angstrom": [[-6.5028, -17.3453, -5.5947], [-5.3861, -18.4715, -2.0598], [-10.2039, 2.2635, 3.9445]],
  "species": ["S", "S", "S", "S", "S", "S", "S", "S", "S", "S", "S", "S", "S", "S", "S", "S", "S", "S", "S", "S", "S", "S", "Lu", "Lu", "Lu", "Lu", "Lu", "Lu", "Lu", "Lu", "Lu", "Lu", "Lu", "Sm", "Sm", "Sm", "Sm"],
  "fractional_positions": [[0.2550, 0.2550, 0.8805], [0.4449, 0.4449, 0.5064], [0.8651, 0.8651, 0.4538], [0.1687, 0.1687, 0.8488], [0.3506, 0.3506, 0.9075], [0.8110, 0.8110, 0.6911], [0.7197, 0.7197, 0.5895], [0.2803, 0.2803, 0.4105], [0.5551, 0.5551, 0.4936], [0.0878, 0.0878, 0.2467], [0.0079, 0.0079, 0.7597], [0.5471, 0.5471, 0.0309], [0.9921, 0.9921, 0.2403], [0.1890, 0.1890, 0.3089], [0.8313, 0.8313, 0.1512], [0.6494, 0.6494, 0.0925], [0.4071, 0.4071, 0.2122], [0.9122, 0.9122, 0.7533], [0.5929, 0.5929, 0.7878], [0.1349, 0.1349, 0.5462], [0.7450, 0.7450, 0.1195], [0.4529, 0.4529, 0.9691], [0.0000, 0.0000, 0.0000], [0.7364, 0.7364, 0.3520], [0.7978, 0.7978, 0.9416], [0.4616, 0.4616, 0.7293], [0.0697, 0.0697, 0.6393], [0.2636, 0.2636, 0.6480], [0.9303, 0.9303, 0.3607], [0.3423, 0.3423, 0.3015], [0.6577, 0.6577, 0.6985], [0.5384, 0.5384, 0.2707], [0.2022, 0.2022, 0.0584], [0.6331, 0.6331, 0.3475], [0.8953, 0.8953, 0.0126], [0.1047, 0.1047, 0.9874], [0.3669, 0.3669, 0.6525]]
}


- Which formula does entry 2 have?
  Sm4Lu11S22


- Which formula does entry 1 have?
  CeInIr